# PrCdHg2

A geometry-optimized PrCdHg2 structure (r2SCAN, the Materials Project database).

The space group is Fm-3m (No. 225) and the conventional cell measures 7.3246, 7.3246 and 7.3246 Å, with angles of 90.00, 90.00 and 90.00 degrees. The distinct sites, in fractional coordinates, are Pr at (0.0000, 0.0000, 0.0000), Cd at (0.0000, 0.0000, 0.5000) and Hg at (0.2500, 0.2500, 0.2500).

The calculation puts the energy relative to the elements at -0.48 eV/atom. The spin magnetization comes out at 0.00 μB/f.u.

# YbPrS3

A geometry-optimized YbPrS3 structure (r2SCAN, the Materials Project database).

The space group is Cmcm (No. 63) and the conventional cell measures 3.8927, 12.6009 and 9.5181 Å, with angles of 90.00, 90.00 and 90.00 degrees. The distinct sites, in fractional coordinates, are Yb at (0.0000, 0.0000, 0.0000), Pr at (0.0000, 0.2536, 0.2500), S at (0.0000, 0.0849, 0.7500) and S at (0.0000, 0.3589, 0.5622).

The calculation puts the energy relative to the elements at -2.40 eV/atom. The spin magnetization comes out at 0.00 μB/f.u.

# TmLuCo2

A geometry-optimized TmLuCo2 structure (r2SCAN, the Materials Project database).

The space group is Fm-3m (No. 225) and the conventional cell measures 6.5623, 6.5623 and 6.5623 Å, with angles of 90.00, 90.00 and 90.00 degrees. The distinct sites, in fractional coordinates, are Tm at (0.0000, 0.0000, 0.0000), Lu at (0.0000, 0.0000, 0.5000) and Co at (0.2500, 0.2500, 0.2500).

The calculation puts the energy relative to the elements at -0.23 eV/atom. The spin magnetization comes out at 0.83 μB/f.u.

# MgU8Se17

A geometry-optimized MgU8Se17 structure (r2SCAN, the Materials Project database).

The space group is C2/m (No. 12) and the conventional cell measures 14.1267, 8.8328 and 11.0693 Å, with angles of 90.00, 101.95 and 90.00 degrees. The distinct sites, in fractional coordinates, are Mg at (0.0000, 0.0000, 0.0000), U at (0.0587, 0.2434, 0.7024), U at (0.1814, 0.5000, 0.0158), U at (0.2036, 0.0000, 0.4584), Se at (0.0000, 0.0000, 0.5000), Se at (0.0203, 0.5000, 0.1704), Se at (0.0590, 0.0000, 0.2328), Se at (0.1278, 0.3047, 0.4665), Se at (0.1363, 0.1937, 0.9656), Se at (0.1967, 0.5000, 0.7515) and Se at (0.2098, 0.0000, 0.7212).

The calculation puts the energy relative to the elements at -1.56 eV/atom. The spin magnetization comes out at 16.00 μB/f.u.

# ZrCl2

A geometry-optimized ZrCl2 structure (r2SCAN, the Materials Project database).

The space group is R3m (No. 160, hexagonal axes) and the conventional cell measures 3.4048, 3.4048 and 19.9768 Å, with angles of 90.00, 90.00 and 120.00 degrees. The distinct sites, in fractional coordinates, are Zr at (0.0000, 0.0000, 0.0000), Cl at (0.0000, 0.0000, 0.2476) and Cl at (0.0000, 0.0000, 0.4190).

The calculation puts the energy relative to the elements at -1.88 eV/atom. The spin magnetization comes out at 0.00 μB/f.u.

# HoInPt

A geometry-optimized HoInPt structure (r2SCAN, the Materials Project database).

The space group is P-62m (No. 189) and the conventional cell measures 7.6073, 7.6073 and 3.8358 Å, with angles of 90.00, 90.00 and 120.00 degrees. The distinct sites, in fractional coordinates, are Ho at (0.0000, 0.4063, 0.0000), In at (0.0000, 0.7387, 0.5000), Pt at (0.0000, 0.0000, 0.0000) and Pt at (0.3333, 0.6667, 0.5000).

The calculation puts the energy relative to the elements at -1.14 eV/atom. The spin magnetization comes out at 0.00 μB/f.u.

# Th7Fe3

A geometry-optimized Th7Fe3 structure (r2SCAN, the Materials Project database).

The space group is P6_3mc (No. 186) and the conventional cell measures 9.6220, 9.6220 and 6.2891 Å, with angles of 90.00, 90.00 and 120.00 degrees. The distinct sites, in fractional coordinates, are Th at (0.0825, 0.5413, 0.0000), Th at (0.1241, 0.2482, 0.6963), Th at (0.3333, 0.6667, 0.4652) and Fe at (0.1836, 0.3672, 0.2281).

The calculation puts the energy relative to the elements at 0.07 eV/atom. The spin magnetization comes out at 0.00 μB/f.u.

# USiRu

A geometry-optimized USiRu structure (r2SCAN, the Materials Project database).

The space group is Pnma (No. 62) and the conventional cell measures 7.4860, 4.2077 and 6.5399 Å, with angles of 90.00, 90.00 and 90.00 degrees. The distinct sites, in fractional coordinates, are U at (0.0063, 0.2500, 0.1526), Si at (0.1950, 0.2500, 0.6124) and Ru at (0.1286, 0.7500, 0.4281).

The calculation puts the energy relative to the elements at -0.67 eV/atom. The spin magnetization comes out at 2.02 μB/f.u.